A plane-wave DFT calculation with PBE-GGA was carried out for a relaxed structure of Sr2B2O5.

Values from the calculation:
The formation energy comes out at -3.21 eV per atom. The crystal system is monoclinic. As for the mass density: 3.615 g/cm3. As for the electronic total energy: -7.435 eV/atom.

Lattice parameters (Å, degrees): 7.830 5.392 12.055 90.00 92.02 90.00
Space group P2_1/c (No. 14)
Inequivalent atoms, fractional coordinates:
1 Sr 0.117 0.053 0.367 (multiplicity 4)
2 Sr 0.377 0.591 0.161 (multiplicity 4)
3 B 0.163 0.050 0.084 (multiplicity 4)
4 B 0.340 0.572 0.404 (multiplicity 4)
5 O 0.101 0.591 0.669 (multiplicity 4)
6 O 0.147 0.200 0.571 (multiplicity 4)
7 O 0.258 0.600 0.508 (multiplicity 4)
8 O 0.355 0.149 0.851 (multiplicity 4)
9 O 0.390 0.710 0.858 (multiplicity 4)


A plane-wave DFT calculation with PBE-GGA was carried out for a relaxed structure of SrB2O8.

Values from the calculation:
The formation energy comes out at -1.42 eV per atom. The offset from the most stable computed form comes out at 0.18 eV per formula unit. The crystal system is triclinic. As for the mass density: 2.546 g/cm3. As for the electronic total energy: -5.891 eV/atom.

Lattice parameters (Å, degrees): 6.296 7.531 7.742 69.61 68.64 69.31
Space group P-1 (No. 2)
Inequivalent atoms, fractional coordinates:
1 Sr 0.173 0.298 0.265 (multiplicity 2)
2 B 0.174 0.756 0.967 (multiplicity 2)
3 B 0.403 0.760 0.457 (multiplicity 2)
4 O 0.004 0.119 0.128 (multiplicity 2)
5 O 0.065 0.687 0.167 (multiplicity 2)
6 O 0.213 0.579 0.904 (multiplicity 2)
7 O 0.232 0.664 0.482 (multiplicity 2)
8 O 0.280 0.955 0.487 (multiplicity 2)
9 O 0.397 0.788 0.921 (multiplicity 2)
10 O 0.418 0.333 0.445 (multiplicity 2)
11 O 0.480 0.177 0.749 (multiplicity 2)


- Among the records above, which one has the highest electronic total energy?
  SrB2O8


- Which value of electronic total energy does entry 2 give?
  -5.891 eV/atom